Run one
Compound: K3Nb4Mo4P12O48
Source: Materials Project
Functional: PBE with a Hubbard U
Structure: optimized geometry

Calculated values
The space group is Pm (6).

Cell: 12.657 9.024 9.335 Å, 89.78 90.00 90.00°
Sites, in units of the cell vectors:
O (0.177, 0.062, 0.345)
P (0.618, 0.598, 0.867)
O (0.687, 0.697, 0.957)
O (0.371, 0.623, 0.704)
K (0.000, 0.837, 0.335)
O (0.371, 0.430, 0.900)
O (0.875, 0.620, 0.791)
P (0.117, 0.403, 0.132)
Nb (0.350, 0.754, 0.523)
P (0.751, 0.029, 0.751)
O (0.126, 0.379, 0.291)
O (0.181, 0.131, 0.662)
O (0.629, 0.430, 0.900)
O (0.678, 0.071, 0.154)
O (0.810, 0.698, 0.542)
O (0.324, 0.932, 0.654)
O (0.125, 0.620, 0.791)
O (0.000, 0.815, 0.992)
P (0.116, 0.597, 0.632)
O (0.189, 0.303, 0.040)
P (0.884, 0.597, 0.632)
Nb (0.650, 0.245, 0.026)
O (0.676, 0.932, 0.654)
O (0.674, 0.125, 0.846)
O (0.126, 0.566, 0.101)
P (0.249, 0.029, 0.751)
O (0.873, 0.434, 0.601)
P (0.382, 0.598, 0.867)
O (0.500, 0.790, 0.522)
K (0.000, 0.164, 0.836)
O (0.630, 0.569, 0.401)
O (0.182, 0.868, 0.162)
O (0.811, 0.303, 0.040)
O (0.000, 0.346, 0.081)
O (0.000, 0.184, 0.489)
O (0.823, 0.938, 0.845)
O (0.500, 0.212, 0.017)
P (0.381, 0.403, 0.367)
Nb (0.350, 0.245, 0.026)
O (0.371, 0.378, 0.205)
O (0.874, 0.379, 0.291)
Mo (0.853, 0.248, 0.472)
P (0.883, 0.403, 0.132)
Mo (0.853, 0.751, 0.972)
O (0.818, 0.868, 0.162)
P (0.619, 0.403, 0.367)
K (0.500, 0.169, 0.657)
O (0.500, 0.356, 0.413)
Mo (0.147, 0.751, 0.972)
P (0.249, 0.971, 0.250)
O (0.874, 0.566, 0.101)
O (0.629, 0.378, 0.205)
O (0.323, 0.875, 0.351)
O (0.370, 0.569, 0.401)
O (0.823, 0.062, 0.345)
Nb (0.650, 0.754, 0.523)
O (0.127, 0.434, 0.601)
O (0.313, 0.697, 0.957)
O (0.322, 0.071, 0.154)
O (0.177, 0.938, 0.845)
O (0.677, 0.875, 0.351)
O (0.819, 0.131, 0.662)
O (0.190, 0.698, 0.542)
O (0.684, 0.300, 0.460)
O (0.316, 0.300, 0.460)
Mo (0.147, 0.248, 0.472)
O (0.500, 0.644, 0.911)
P (0.751, 0.971, 0.250)
O (0.629, 0.623, 0.704)
O (0.326, 0.125, 0.846)
O (0.000, 0.653, 0.579)

Run two
Compound: K3Nb4Mo4P12O48
Source: Materials Project
Functional: PBE with a Hubbard U
Structure: optimized geometry

Calculated values
The space group is P1 (1).

Cell: 9.061 10.396 12.151 Å, 90.33 90.34 90.88°
Sites, in units of the cell vectors:
O (0.210, 0.968, 0.407)
O (0.384, 0.877, 0.933)
Mo (0.244, 0.505, 0.104)
O (0.678, 0.597, 0.054)
O (0.909, 0.365, 0.947)
P (0.002, 0.261, 0.010)
O (0.093, 0.855, 0.951)
O (0.562, 0.882, 0.110)
O (0.877, 0.832, 0.419)
O (0.820, 0.419, 0.332)
P (0.537, 0.856, 0.986)
P (0.555, 0.665, 0.456)
O (0.403, 0.873, 0.580)
P (0.440, 0.356, 0.591)
P (0.546, 0.870, 0.512)
O (0.407, 0.116, 0.877)
Nb (0.220, 0.517, 0.438)
O (0.760, 0.480, 0.414)
P (0.473, 0.127, 0.407)
O (0.684, 0.930, 0.567)
O (0.102, 0.344, 0.089)
O (0.947, 0.149, 0.425)
O (0.301, 0.085, 0.057)
O (0.587, 0.130, 0.056)
Nb (0.770, 0.502, 0.904)
O (0.230, 0.514, 0.250)
O (0.603, 0.373, 0.950)
O (0.670, 0.920, 0.926)
O (0.640, 0.168, 0.421)
O (0.168, 0.544, 0.691)
O (0.893, 0.662, 0.574)
O (0.572, 0.605, 0.870)
K (0.805, 0.666, 0.247)
O (0.908, 0.666, 0.917)
O (0.072, 0.844, 0.568)
O (0.082, 0.014, 0.773)
Mo (0.758, 0.997, 0.090)
O (0.790, 0.488, 0.757)
P (0.439, 0.150, 0.002)
O (0.126, 0.162, 0.577)
O (0.928, 0.328, 0.578)
Nb (0.224, 0.991, 0.556)
P (0.023, 0.247, 0.503)
O (0.908, 0.168, 0.076)
O (0.606, 0.341, 0.608)
O (0.434, 0.391, 0.128)
P (0.977, 0.750, 0.493)
O (0.092, 0.178, 0.927)
O (0.407, 0.397, 0.469)
O (0.192, 0.531, 0.587)
O (0.090, 0.644, 0.067)
O (0.387, 0.648, 0.426)
O (0.070, 0.663, 0.414)
P (0.997, 0.746, 0.008)
O (0.229, 0.969, 0.737)
Nb (0.215, 0.010, 0.902)
O (0.592, 0.599, 0.569)
Mo (0.774, 0.479, 0.583)
O (0.820, 0.024, 0.252)
O (0.536, 0.942, 0.395)
O (0.897, 0.819, 0.087)
K (0.829, 0.839, 0.745)
Mo (0.773, 0.016, 0.401)
O (0.115, 0.339, 0.425)
P (0.450, 0.354, 0.004)
K (0.134, 0.162, 0.247)
P (0.545, 0.653, 0.991)
O (0.411, 0.116, 0.528)
O (0.318, 0.422, 0.950)
O (0.395, 0.634, 0.050)
O (0.192, 0.925, 0.305)

run one takes first place; second place is 0.807 eV/atom up.

Run one
Compound: K3Mo10O30
Source: Materials Project
Functional: PBE with a Hubbard U
Structure: optimized geometry

Calculated values
The space group is P-1 (2).

Cell: 9.748 9.690 9.557 Å, 110.16 100.83 111.94°
Sites, in units of the cell vectors:
O (0.825, 0.125, 0.321)
O (0.365, 0.715, 0.634)
O (0.000, 0.500, 0.500)
O (0.048, 0.152, 0.139)
O (0.381, 0.118, 0.036)
Mo (0.315, 0.075, 0.821)
Mo (0.397, 0.090, 0.238)
Mo (0.603, 0.910, 0.762)
Mo (0.685, 0.925, 0.179)
O (0.635, 0.285, 0.366)
O (0.387, 0.234, 0.740)
O (0.613, 0.766, 0.260)
O (0.645, 0.721, 0.653)
O (0.889, 0.571, 0.918)
O (0.619, 0.882, 0.964)
O (0.790, 0.333, 0.147)
O (0.173, 0.178, 0.883)
K (0.277, 0.748, 0.344)
O (0.500, 0.500, 0.500)
K (0.500, 0.500, 0.000)
O (0.175, 0.875, 0.679)
O (0.105, 0.069, 0.435)
Mo (0.800, 0.423, 0.341)
Mo (0.200, 0.577, 0.659)
Mo (0.037, 0.211, 0.988)
O (0.822, 0.103, 0.852)
Mo (0.299, 0.219, 0.520)
O (0.895, 0.931, 0.565)
K (0.723, 0.252, 0.656)
O (0.355, 0.279, 0.347)
O (0.210, 0.667, 0.853)
O (0.408, 0.090, 0.452)
Mo (0.963, 0.789, 0.012)
O (0.762, 0.594, 0.358)
O (0.178, 0.897, 0.148)
O (0.501, 0.959, 0.191)
O (0.592, 0.910, 0.548)
O (0.238, 0.406, 0.642)
O (0.827, 0.822, 0.117)
O (0.111, 0.429, 0.082)
Mo (0.701, 0.781, 0.480)
O (0.499, 0.041, 0.809)
O (0.952, 0.848, 0.861)

Run two
Compound: K3Mo10O30
Source: Materials Project
Functional: PBE with a Hubbard U
Structure: optimized geometry

Calculated values
The space group is C2/m (12).

Cell: 10.253 10.253 10.232 Å, 63.16 63.16 44.09°
Sites, in units of the cell vectors:
O (0.844, 0.844, 0.312)
O (0.155, 0.649, 0.811)
O (0.573, 0.058, 0.161)
O (0.351, 0.845, 0.189)
O (0.088, 0.088, 0.006)
Mo (0.890, 0.389, 0.655)
Mo (0.611, 0.110, 0.345)
O (0.000, 0.500, 0.500)
O (0.642, 0.642, 0.670)
K (0.816, 0.816, 0.728)
O (0.156, 0.156, 0.688)
K (0.184, 0.184, 0.272)
O (0.129, 0.688, 0.449)
Mo (0.110, 0.611, 0.345)
O (0.312, 0.871, 0.551)
O (0.058, 0.573, 0.161)
O (0.912, 0.912, 0.994)
O (0.500, 0.000, 0.500)
O (0.246, 0.246, 0.973)
O (0.358, 0.358, 0.330)
O (0.714, 0.206, 0.146)
O (0.684, 0.684, 0.333)
O (0.422, 0.422, 0.985)
Mo (0.667, 0.177, 0.959)
O (0.794, 0.286, 0.854)
O (0.845, 0.351, 0.189)
O (0.427, 0.942, 0.839)
Mo (0.333, 0.823, 0.041)
O (0.754, 0.754, 0.027)
Mo (0.389, 0.890, 0.655)
O (0.286, 0.794, 0.854)
O (0.578, 0.578, 0.015)
O (0.688, 0.129, 0.449)
O (0.316, 0.316, 0.667)
K (0.500, 0.500, 0.500)
O (0.206, 0.714, 0.146)
Mo (0.777, 0.777, 0.172)
Mo (0.223, 0.223, 0.828)
Mo (0.823, 0.333, 0.041)
O (0.649, 0.155, 0.811)
O (0.942, 0.427, 0.839)
O (0.871, 0.312, 0.551)
Mo (0.177, 0.667, 0.959)

run two takes first place; second place is 0.165 eV/atom up.

Run one
Compound: K2Mo2P2O11
Source: Materials Project
Functional: PBE with a Hubbard U
Structure: optimized geometry

Calculated values
The space group is P2_1 (4).

Cell: 10.300 10.038 10.061 Å, 81.80 90.00 90.00°
Sites, in units of the cell vectors:
O (0.760, 0.919, 0.182)
P (0.425, 0.872, 0.607)
O (0.260, 0.081, 0.818)
O (0.788, 0.067, 0.429)
K (0.824, 0.764, 0.442)
O (0.975, 0.967, 0.023)
O (0.756, 0.443, 0.003)
P (0.621, 0.392, 0.433)
O (0.406, 0.759, 0.024)
K (0.580, 0.502, 0.740)
O (0.906, 0.241, 0.976)
O (0.949, 0.130, 0.241)
O (0.239, 0.557, 0.491)
O (0.561, 0.274, 0.923)
O (0.497, 0.466, 0.476)
O (0.566, 0.716, 0.332)
O (0.442, 0.725, 0.577)
O (0.143, 0.574, 0.720)
O (0.593, 0.241, 0.476)
O (0.212, 0.934, 0.071)
O (0.712, 0.066, 0.929)
O (0.356, 0.574, 0.221)
O (0.698, 0.196, 0.165)
Mo (0.585, 0.348, 0.110)
Mo (0.820, 0.073, 0.101)
K (0.500, 0.000, 0.250)
O (0.552, 0.130, 0.741)
O (0.802, 0.196, 0.664)
O (0.302, 0.804, 0.336)
O (0.934, 0.715, 0.833)
Mo (0.320, 0.927, 0.899)
O (0.198, 0.804, 0.835)
Mo (0.085, 0.652, 0.890)
P (0.075, 0.873, 0.107)
O (0.434, 0.285, 0.167)
O (0.061, 0.726, 0.077)
O (0.003, 0.466, 0.976)
K (0.324, 0.236, 0.558)
O (0.997, 0.534, 0.524)
O (0.066, 0.284, 0.668)
O (0.503, 0.534, 0.024)
P (0.121, 0.608, 0.567)
O (0.288, 0.933, 0.571)
K (0.680, 0.768, 0.953)
Mo (0.416, 0.653, 0.391)
Mo (0.180, 0.928, 0.400)
Mo (0.916, 0.347, 0.609)
O (0.942, 0.275, 0.423)
O (0.740, 0.918, 0.682)
O (0.052, 0.870, 0.259)
P (0.575, 0.127, 0.893)
K (0.180, 0.232, 0.047)
K (0.000, 0.000, 0.750)
O (0.093, 0.759, 0.524)
O (0.525, 0.967, 0.523)
O (0.475, 0.033, 0.977)
P (0.925, 0.128, 0.393)
P (0.878, 0.393, 0.934)
O (0.025, 0.033, 0.477)
K (0.080, 0.498, 0.260)
P (0.378, 0.607, 0.066)
O (0.643, 0.426, 0.280)
O (0.739, 0.443, 0.509)
O (0.256, 0.557, 0.997)
O (0.240, 0.082, 0.318)
O (0.449, 0.870, 0.759)
Mo (0.680, 0.072, 0.600)
O (0.856, 0.426, 0.779)

Run two
Compound: K2Mo2P2O11
Source: Materials Project
Functional: PBE with a Hubbard U
Structure: optimized geometry

Calculated values
The space group is Pbcn (60).

Cell: 9.104 9.448 11.121 Å, 90.00 90.00 90.00°
Sites, in units of the cell vectors:
K (0.989, 0.298, 0.585)
P (0.326, 0.570, 0.628)
K (0.989, 0.702, 0.915)
Mo (0.728, 0.578, 0.654)
O (0.582, 0.079, 0.363)
O (0.918, 0.579, 0.637)
O (0.513, 0.392, 0.356)
P (0.326, 0.430, 0.872)
P (0.674, 0.430, 0.372)
Mo (0.272, 0.422, 0.346)
O (0.918, 0.421, 0.863)
O (0.228, 0.301, 0.897)
O (0.582, 0.921, 0.137)
O (0.302, 0.548, 0.965)
K (0.011, 0.298, 0.085)
Mo (0.772, 0.078, 0.346)
O (0.082, 0.579, 0.137)
O (0.228, 0.699, 0.603)
K (0.511, 0.798, 0.415)
O (0.302, 0.452, 0.535)
O (0.487, 0.392, 0.856)
O (0.487, 0.608, 0.644)
O (0.737, 0.500, 0.250)
O (0.698, 0.548, 0.465)
O (0.698, 0.372, 0.676)
O (0.802, 0.128, 0.176)
P (0.674, 0.570, 0.128)
O (0.987, 0.892, 0.644)
O (0.728, 0.801, 0.603)
Mo (0.772, 0.922, 0.154)
O (0.013, 0.108, 0.356)
O (0.418, 0.079, 0.863)
O (0.302, 0.628, 0.324)
P (0.174, 0.930, 0.128)
O (0.728, 0.199, 0.897)
O (0.763, 0.000, 0.750)
O (0.198, 0.952, 0.465)
K (0.011, 0.702, 0.415)
O (0.013, 0.892, 0.144)
Mo (0.228, 0.078, 0.846)
O (0.513, 0.608, 0.144)
O (0.418, 0.921, 0.637)
O (0.272, 0.801, 0.103)
O (0.802, 0.952, 0.965)
O (0.198, 0.128, 0.676)
Mo (0.228, 0.922, 0.654)
O (0.802, 0.048, 0.535)
O (0.272, 0.199, 0.397)
O (0.082, 0.421, 0.363)
Mo (0.728, 0.422, 0.846)
O (0.772, 0.699, 0.103)
O (0.263, 0.500, 0.750)
P (0.174, 0.070, 0.372)
K (0.489, 0.202, 0.585)
K (0.489, 0.798, 0.915)
O (0.698, 0.628, 0.824)
O (0.198, 0.048, 0.035)
O (0.698, 0.452, 0.035)
P (0.826, 0.070, 0.872)
O (0.802, 0.872, 0.324)
O (0.302, 0.372, 0.176)
K (0.511, 0.202, 0.085)
O (0.198, 0.872, 0.824)
O (0.772, 0.301, 0.397)
O (0.987, 0.108, 0.856)
O (0.237, 0.000, 0.250)
Mo (0.272, 0.578, 0.154)
P (0.826, 0.930, 0.628)

run one takes first place; second place is 0.062 eV/atom up.

Run one
Compound: KNdSnWO6
Source: Materials Project
Functional: PBE with a Hubbard U
Structure: optimized geometry

Calculated values
The space group is F-43m (216).

Cell: 6.053 6.053 6.053 Å, 60.00 60.00 60.00°
Sites, in units of the cell vectors:
K (0.750, 0.750, 0.750)
O (0.728, 0.272, 0.272)
O (0.272, 0.272, 0.728)
Sn (0.250, 0.250, 0.250)
O (0.728, 0.272, 0.728)
W (0.500, 0.500, 0.500)
O (0.272, 0.728, 0.728)
O (0.728, 0.728, 0.272)
O (0.272, 0.728, 0.272)
Nd (0.000, 0.000, 0.000)

Run two
Compound: KNdSnWO6
Source: Materials Project
Functional: PBE with a Hubbard U
Structure: optimized geometry

Calculated values
The space group is P4_2/mmc (131).

Cell: 6.061 6.061 8.543 Å, 90.00 90.00 90.00°
Sites, in units of the cell vectors:
W (0.000, 0.500, 0.500)
W (0.500, 0.000, 0.000)
O (0.721, 0.235, 0.000)
O (0.235, 0.279, 0.500)
Sn (0.500, 0.500, 0.750)
O (0.279, 0.235, 0.000)
O (0.235, 0.721, 0.500)
O (0.279, 0.765, 0.000)
K (0.000, 0.000, 0.250)
O (0.765, 0.721, 0.500)
Nd (0.500, 0.000, 0.500)
O (0.500, 0.000, 0.228)
O (0.000, 0.500, 0.728)
Nd (0.000, 0.500, 0.000)
O (0.500, 0.000, 0.772)
O (0.765, 0.279, 0.500)
O (0.721, 0.765, 0.000)
K (0.000, 0.000, 0.750)
Sn (0.500, 0.500, 0.250)
O (0.000, 0.500, 0.272)

run two takes first place; second place is 0.009 eV/atom up.